## Li7Mn4CoO12 (PBE+U)

Data for a relaxed structure of Li7Mn4CoO12.

Values from the calculation:
- DFT formation energy: -2.042 eV per atom
- SG: P1 (1)
- Calculated density: 3956 kg/m³

a = 2.968 Å, b = 7.655 Å, c = 10.172 Å
α = 72.48°, β = 88.44°, γ = 81.57°
Element x y z (fractional)
Li (0.000, 0.000, 0.000)
Li (0.012, 0.991, 0.504)
Li (0.168, 0.669, 0.747)
Li (0.320, 0.347, 0.993)
Li (0.334, 0.337, 0.491)
Li (0.656, 0.680, 0.506)
Li (0.681, 0.659, 0.989)
Mn (0.171, 0.666, 0.248)
Mn (0.495, 0.005, 0.247)
Mn (0.496, 0.995, 0.743)
Mn (0.837, 0.344, 0.751)
Co (0.835, 0.336, 0.246)
O (0.038, 0.863, 0.855)
O (0.125, 0.829, 0.367)
O (0.217, 0.503, 0.131)
O (0.296, 0.474, 0.638)
O (0.396, 0.182, 0.853)
O (0.450, 0.174, 0.361)
O (0.541, 0.841, 0.128)
O (0.567, 0.851, 0.628)
O (0.764, 0.489, 0.865)
O (0.792, 0.494, 0.364)
O (0.876, 0.174, 0.131)
O (0.938, 0.156, 0.641)